VASP calculation (PBE+U) on a relaxed structure of Ba3NiSb2O9.

abc: 5.8785 10.1819 14.5221
angles: 90.00 90.00 90.00
Closest atoms and distances in Å follow each position.
Element x y z (fractional)
O1 0.0000 0.5114 0.2534  1 Sb 1.99, 1 Ni 2.18
O2 0.7419 0.4194 0.5756  1 Sb 1.96, 1 Ni 2.06
O3 0.0000 0.4886 0.7534  1 Sb 1.99, 1 Ni 2.18
O4 0.7472 0.5824 0.4155  2 Sb 2.07-2.09
O5 0.2329 0.2557 0.7534  1 Sb 1.99, 1 Ni 2.18
O6 0.0000 0.8352 0.4155  2 Sb 2.07-2.09
O7 0.5000 0.9886 0.7534  1 Sb 1.99, 1 Ni 2.18
O8 0.5000 0.3352 0.4155  2 Sb 2.07-2.09
O9 0.5000 0.0114 0.2534  1 Sb 1.99, 1 Ni 2.18
O10 0.7528 0.9176 0.9155  2 Sb 2.07-2.09
O11 0.7581 0.0806 0.0756  1 Sb 1.96, 1 Ni 2.06
O12 0.2671 0.2443 0.2534  1 Sb 1.99, 1 Ni 2.18
O13 0.2329 0.7443 0.2534  1 Sb 1.99, 1 Ni 2.18
O14 0.7329 0.2443 0.2534  1 Sb 1.99, 1 Ni 2.18
O15 0.7528 0.0824 0.4155  2 Sb 2.07-2.09
O16 0.0000 0.1648 0.9155  2 Sb 2.07-2.09
O17 0.0000 0.8387 0.0756  1 Sb 1.96, 1 Ni 2.06
O18 0.2472 0.9176 0.9155  2 Sb 2.07-2.09
O19 0.7472 0.4176 0.9155  2 Sb 2.07-2.09
O20 0.2472 0.0824 0.4155  2 Sb 2.07-2.09
O21 0.5000 0.6613 0.5756  1 Sb 1.96, 1 Ni 2.06
O22 0.2528 0.4176 0.9155  2 Sb 2.07-2.09
O23 0.2419 0.9194 0.5756  1 Sb 1.96, 1 Ni 2.06
O24 0.2419 0.0806 0.0756  1 Sb 1.96, 1 Ni 2.06
O25 0.2671 0.7557 0.7534  1 Sb 1.99, 1 Ni 2.18
O26 0.7581 0.9194 0.5756  1 Sb 1.96, 1 Ni 2.06
O27 0.7671 0.7443 0.2534  1 Sb 1.99, 1 Ni 2.18
O28 0.7419 0.5806 0.0756  1 Sb 1.96, 1 Ni 2.06
O29 0.2581 0.5806 0.0756  1 Sb 1.96, 1 Ni 2.06
O30 0.0000 0.1613 0.5756  1 Sb 1.96, 1 Ni 2.06
O31 0.5000 0.6648 0.9155  2 Sb 2.07-2.09
O32 0.7671 0.2557 0.7534  1 Sb 1.99, 1 Ni 2.18
O33 0.5000 0.3387 0.0756  1 Sb 1.96, 1 Ni 2.06
O34 0.7329 0.7557 0.7534  1 Sb 1.99, 1 Ni 2.18
O35 0.2528 0.5824 0.4155  2 Sb 2.07-2.09
O36 0.2581 0.4194 0.5756  1 Sb 1.96, 1 Ni 2.06
Ba1 0.0000 0.0000 0.7439  12 O 2.94-3.00
Ba2 0.0000 0.3333 0.4095  12 O 2.90-2.98
Ba3 0.0000 0.3333 0.1063  9 O 2.80-2.97
Ba4 0.5000 0.8333 0.4095  12 O 2.90-2.98
Ba5 0.5000 0.1667 0.6063  9 O 2.80-2.97
Ba6 0.5000 0.8333 0.1063  9 O 2.80-2.97
Ba7 0.5000 0.1667 0.9095  12 O 2.90-2.98
Ba8 0.0000 0.0000 0.2439  12 O 2.94-3.00
Ba9 0.5000 0.5000 0.2439  12 O 2.94-3.00
Ba10 0.5000 0.5000 0.7439  12 O 2.94-3.00
Ba11 0.0000 0.6667 0.6063  9 O 2.80-2.97
Ba12 0.0000 0.6667 0.9095  12 O 2.90-2.98
Sb1 0.0000 0.3333 0.8364  6 O 1.99-2.07
Sb2 0.0000 0.0000 0.0015  6 O 1.96-2.09
Sb3 0.5000 0.5000 0.5015  6 O 1.96-2.09
Sb4 0.5000 0.1667 0.3364  6 O 1.99-2.07
Sb5 0.5000 0.8333 0.8364  6 O 1.99-2.07
Sb6 0.0000 0.6667 0.3364  6 O 1.99-2.07
Sb7 0.0000 0.0000 0.5015  6 O 1.96-2.09
Sb8 0.5000 0.5000 0.0015  6 O 1.96-2.09
Ni1 0.0000 0.3333 0.6501  6 O 2.06-2.18
Ni2 0.5000 0.1667 0.1501  6 O 2.06-2.18
Ni3 0.5000 0.8333 0.6501  6 O 2.06-2.18
Ni4 0.0000 0.6667 0.1501  6 O 2.06-2.18

- formation enthalpy at 0 K (meV per atom) = -2412
- E_tot (eV per atom) = -6.118
- excess energy over the best structure of this formula in the dataset (meV/atom) = 14
- size of the total moment (μB/f.u.) = 0.0

=====

VASP calculation (PBE+U) on a relaxed structure of Na2UMo3O12.

abc: 6.9221 6.9221 11.8133
angles: 80.16 80.16 114.55
Closest atoms and distances in Å follow each position.
Element x y z (fractional)
O1 0.6136 0.6930 0.5619  1 Mo 1.76
O2 0.0710 0.5038 0.7872  1 Mo 1.82
O3 0.4962 0.9290 0.7128  1 Mo 1.82
O4 0.3847 0.8117 0.1236  1 Mo 1.77
O5 0.8117 0.3847 0.6236  1 Mo 1.77
O6 0.8561 0.2527 0.0560  1 Mo 1.84
O7 0.6153 0.1883 0.8764  1 Mo 1.77
O8 0.9735 0.0433 0.6206  1 Mo 1.83
O9 0.3070 0.3864 0.9381  1 Mo 1.76
O10 0.1883 0.6153 0.3764  1 Mo 1.77
O11 0.2527 0.8561 0.5560  1 Mo 1.84
O12 0.7473 0.1439 0.4440  1 Mo 1.84
O13 0.3864 0.3070 0.4381  1 Mo 1.76
O14 0.2515 0.3502 0.2204  1 Mo 1.86
O15 0.0433 0.9735 0.1206  1 Mo 1.83
O16 0.5038 0.0710 0.2872  1 Mo 1.82
O17 0.7485 0.6498 0.7796  1 Mo 1.86
O18 0.0265 0.9567 0.3794  1 Mo 1.83
O19 0.9290 0.4962 0.2128  1 Mo 1.82
O20 0.6498 0.7485 0.2796  1 Mo 1.86
O21 0.9567 0.0265 0.8794  1 Mo 1.83
O22 0.3502 0.2515 0.7204  1 Mo 1.86
O23 0.1439 0.7473 0.9440  1 Mo 1.84
O24 0.6930 0.6136 0.0619  1 Mo 1.76
Na1 0.4596 0.2087 0.0801  8 O 2.52-2.59
Na2 0.2087 0.4596 0.5801  8 O 2.52-2.59
Na3 0.7913 0.5404 0.4199  8 O 2.52-2.59
Na4 0.5404 0.7913 0.9199  8 O 2.52-2.59
U1 0.8774 0.1226 0.2500  8 O 2.33-2.41
U2 0.1226 0.8774 0.7500  8 O 2.33-2.41
Mo1 0.2928 0.0426 0.4137  4 O 1.76-1.84
Mo2 0.0426 0.2928 0.9137  4 O 1.76-1.84
Mo3 0.3745 0.6255 0.2500  4 O 1.77-1.86
Mo4 0.7072 0.9574 0.5863  4 O 1.76-1.84
Mo5 0.9574 0.7072 0.0863  4 O 1.76-1.84
Mo6 0.6255 0.3745 0.7500  4 O 1.77-1.86

- formation enthalpy at 0 K (meV per atom) = -2326
- E_tot (eV per atom) = -7.215
- symmetry = C2/c
- size of the total moment (μB/f.u.) = 2.0

=====

VASP calculation (PBE+U) on a relaxed structure of Rb2W9O27.

abc: 7.5242 7.5242 46.4552
angles: 90.00 90.00 120.00
Closest atoms and distances in Å follow each position.
Element x y z (fractional)
O1 0.4999 0.0000 0.5000  2 W 1.92-1.94
O2 0.2128 0.4240 0.5420  2 W 1.93-1.96
O3 0.2101 0.4209 0.9585  2 W 1.94-1.96
O4 0.0000 0.4995 0.9999  2 W 1.93-1.95
O5 0.4194 0.2097 0.7917  2 W 1.95
O6 0.0000 0.5002 0.1666  2 W 1.93-1.96
O7 0.7892 0.5791 0.6249  2 W 1.94-1.96
O8 0.2113 0.4244 0.1252  2 W 1.93-1.96
O9 0.7903 0.5806 0.7917  2 W 1.95
O10 0.7888 0.5760 0.5420  2 W 1.93-1.96
O11 0.4244 0.2131 0.3755  2 W 1.93-1.96
O12 0.7869 0.2112 0.3755  2 W 1.93-1.96
O13 0.4998 0.4998 0.1666  2 W 1.93-1.96
O14 0.7872 0.2112 0.0413  2 W 1.93-1.96
O15 0.0000 0.5006 0.3336  2 W 1.91-1.95
O16 0.0000 0.4999 0.0833  2 W 1.92-1.94
O17 0.7897 0.2098 0.7078  2 W 1.95
O18 0.5001 0.5001 0.8340  2 W 1.90-1.97
O19 0.4999 0.0000 0.0833  2 W 1.92-1.94
O20 0.7869 0.2112 0.2078  2 W 1.93-1.96
O21 0.7902 0.5799 0.8756  2 W 1.95
O22 0.2132 0.7887 0.1252  2 W 1.93-1.96
O23 0.0000 0.5001 0.9171  2 W 1.92-1.96
O24 0.4240 0.2128 0.0413  2 W 1.93-1.96
O25 0.4999 0.4999 0.6663  2 W 1.92-1.96
O26 0.7899 0.2108 0.6249  2 W 1.94-1.96
O27 0.4209 0.2101 0.6249  2 W 1.94-1.96
O28 0.5001 0.0000 0.9171  2 W 1.92-1.96
O29 0.2132 0.7887 0.4581  2 W 1.93-1.96
O30 0.7845 0.5723 0.2917  2 W 1.91-1.96
O31 0.7868 0.5756 0.1252  2 W 1.93-1.96
O32 0.0000 0.4999 0.8340  2 W 1.90-1.97
O33 0.5723 0.7845 0.2917  2 W 1.91-1.96
O34 0.5760 0.7888 0.5420  2 W 1.93-1.96
O35 0.5799 0.7902 0.7078  2 W 1.95
O36 0.2101 0.4209 0.6249  2 W 1.94-1.96
O37 0.5791 0.7892 0.9585  2 W 1.94-1.96
O38 0.2112 0.7869 0.2078  2 W 1.93-1.96
O39 0.5760 0.7888 0.0413  2 W 1.93-1.96
O40 0.4240 0.2128 0.5420  2 W 1.93-1.96
O41 0.4201 0.2103 0.8756  2 W 1.95
O42 0.7892 0.5791 0.9585  2 W 1.94-1.96
O43 0.5756 0.7868 0.1252  2 W 1.93-1.96
O44 0.5006 0.0000 0.3336  2 W 1.91-1.95
O45 0.2112 0.7872 0.0413  2 W 1.93-1.96
O46 0.2131 0.4244 0.2078  2 W 1.93-1.96
O47 0.5756 0.7868 0.4581  2 W 1.93-1.96
O48 0.0000 0.4999 0.5000  2 W 1.92-1.94
O49 0.2123 0.4277 0.2917  2 W 1.91-1.96
O50 0.2097 0.7903 0.7917  2 W 1.95
O51 0.5001 0.5001 0.5000  2 W 1.92-1.94
O52 0.4999 0.0000 0.8340  2 W 1.90-1.97
O53 0.7868 0.5756 0.4581  2 W 1.93-1.96
O54 0.4277 0.2123 0.2917  2 W 1.91-1.96
O55 0.2103 0.4201 0.7078  2 W 1.95
O56 0.2098 0.7897 0.8756  2 W 1.95
O57 0.7887 0.2132 0.4581  2 W 1.93-1.96
O58 0.7899 0.2108 0.9585  2 W 1.94-1.96
O59 0.4244 0.2113 0.1252  2 W 1.93-1.96
O60 0.2098 0.7897 0.7078  2 W 1.95
O61 0.0000 0.5006 0.2497  2 W 1.91-1.95
O62 0.4201 0.2103 0.7078  2 W 1.95
O63 0.2103 0.4201 0.8756  2 W 1.95
O64 0.2131 0.4244 0.3755  2 W 1.93-1.96
O65 0.5001 0.5001 0.7493  2 W 1.90-1.97
O66 0.0000 0.4999 0.7493  2 W 1.90-1.97
O67 0.5006 0.0000 0.2497  2 W 1.91-1.95
O68 0.4994 0.4994 0.2497  2 W 1.91-1.95
O69 0.4994 0.4994 0.3336  2 W 1.91-1.95
O70 0.7897 0.2098 0.8756  2 W 1.95
O71 0.4998 0.4998 0.4168  2 W 1.93-1.96
O72 0.2097 0.4194 0.7917  2 W 1.95
O73 0.4999 0.4999 0.9171  2 W 1.92-1.96
O74 0.0000 0.4995 0.5834  2 W 1.93-1.95
O75 0.2113 0.4244 0.4581  2 W 1.93-1.96
O76 0.5806 0.7903 0.7917  2 W 1.95
O77 0.0000 0.5002 0.4168  2 W 1.93-1.96
O78 0.2108 0.7899 0.9585  2 W 1.94-1.96
O79 0.7888 0.5760 0.0413  2 W 1.93-1.96
O80 0.7887 0.2132 0.1252  2 W 1.93-1.96
O81 0.7902 0.5799 0.7078  2 W 1.95
O82 0.2108 0.7899 0.6249  2 W 1.94-1.96
O83 0.4995 0.0000 0.5834  2 W 1.93-1.95
O84 0.2128 0.4240 0.0413  2 W 1.93-1.96
O85 0.4995 0.0000 0.9999  2 W 1.93-1.95
O86 0.7903 0.2097 0.7917  2 W 1.95
O87 0.5002 0.0000 0.4168  2 W 1.93-1.96
O88 0.5791 0.7892 0.6249  2 W 1.94-1.96
O89 0.4209 0.2101 0.9585  2 W 1.94-1.96
O90 0.5756 0.7888 0.3755  2 W 1.93-1.96
O91 0.0000 0.5001 0.6663  2 W 1.92-1.96
O92 0.5799 0.7902 0.8756  2 W 1.95
O93 0.2112 0.7869 0.3755  2 W 1.93-1.96
O94 0.7872 0.2112 0.5420  2 W 1.93-1.96
O95 0.5001 0.0000 0.6663  2 W 1.92-1.96
O96 0.7877 0.2155 0.2917  2 W 1.91-1.96
O97 0.5002 0.0000 0.1666  2 W 1.93-1.96
O98 0.2155 0.7877 0.2917  2 W 1.91-1.96
O99 0.5005 0.5005 0.5834  2 W 1.93-1.95
O100 0.5001 0.5001 0.0833  2 W 1.92-1.94
O101 0.4244 0.2113 0.4581  2 W 1.93-1.96
O102 0.4244 0.2131 0.2078  2 W 1.93-1.96
O103 0.7888 0.5756 0.2078  2 W 1.93-1.96
O104 0.4999 0.0000 0.7493  2 W 1.90-1.97
O105 0.2112 0.7872 0.5420  2 W 1.93-1.96
O106 0.7888 0.5756 0.3755  2 W 1.93-1.96
O107 0.5005 0.5005 0.9999  2 W 1.93-1.95
O108 0.5756 0.7888 0.2078  2 W 1.93-1.96
W1 0.4969 0.0000 0.5413  6 O 1.92-1.96
W2 0.4999 0.4999 0.7917  6 O 1.95-1.97
W3 0.5031 0.5031 0.0420  6 O 1.92-1.96
W4 0.5009 0.5009 0.8749  6 O 1.90-1.96
W5 0.4983 0.4983 0.9585  6 O 1.92-1.96
W6 0.0000 0.5001 0.7917  6 O 1.95-1.97
W7 0.0000 0.4991 0.7085  6 O 1.90-1.96
W8 0.0000 0.5017 0.6249  6 O 1.92-1.96
W9 0.4969 0.0000 0.0420  6 O 1.92-1.96
W10 0.5040 0.0000 0.4582  6 O 1.93-1.96
W11 0.5031 0.5031 0.5413  6 O 1.92-1.96
W12 0.4953 0.0000 0.3747  6 O 1.91-1.96
W13 0.5040 0.0000 0.1251  6 O 1.93-1.96
W14 0.4991 0.0000 0.7085  6 O 1.90-1.96
W15 0.0000 0.4969 0.0420  6 O 1.92-1.96
W16 0.0000 0.4953 0.3747  6 O 1.91-1.96
W17 0.4960 0.4960 0.1251  6 O 1.93-1.96
W18 0.4960 0.4960 0.4582  6 O 1.93-1.96
W19 0.0000 0.4991 0.8749  6 O 1.90-1.96
W20 0.4929 0.4929 0.2917  6 O 1.91-1.96
W21 0.0000 0.4969 0.5413  6 O 1.92-1.96
W22 0.5047 0.5047 0.3747  6 O 1.91-1.96
W23 0.0000 0.5040 0.1251  6 O 1.93-1.96
W24 0.0000 0.5017 0.9585  6 O 1.92-1.96
W25 0.5047 0.5047 0.2087  6 O 1.91-1.96
W26 0.5017 0.0000 0.9585  6 O 1.92-1.96
W27 0.5001 0.0000 0.7917  6 O 1.95-1.97
W28 0.5017 0.0000 0.6249  6 O 1.92-1.96
W29 0.0000 0.5040 0.4582  6 O 1.93-1.96
W30 0.4983 0.4983 0.6249  6 O 1.92-1.96
W31 0.0000 0.5071 0.2917  6 O 1.91-1.96
W32 0.5009 0.5009 0.7085  6 O 1.90-1.96
W33 0.4991 0.0000 0.8749  6 O 1.90-1.96
W34 0.4953 0.0000 0.2087  6 O 1.91-1.96
W35 0.5071 0.0000 0.2917  6 O 1.91-1.96
W36 0.0000 0.4953 0.2087  6 O 1.91-1.96
Rb1 0.0000 0.0000 0.9168  12 O 3.34-3.36
Rb2 0.0000 0.0000 0.5792  12 O 3.26-3.47
Rb3 0.0000 0.0000 0.8329  12 O 3.34-3.38
Rb4 0.0000 0.0000 0.0041  12 O 3.26-3.47
Rb5 0.0000 0.0000 0.7504  12 O 3.34-3.38
Rb6 0.0000 0.0000 0.4163  12 O 3.35-3.38
Rb7 0.0000 0.0000 0.1670  12 O 3.35-3.38
Rb8 0.0000 0.0000 0.6666  12 O 3.34-3.36

- formation enthalpy at 0 K (meV per atom) = -2232
- E_tot (eV per atom) = -7.329
- symmetry = P-62m
- size of the total moment (μB/f.u.) = 0.5

=====

What is the formula in the third record? Rb2W9O27

=====

Among the records above, which one has the highest E_tot? Ba3NiSb2O9

=====

Which of these has the highest E_tot? Ba3NiSb2O9